# K4Re6TeC6S7N6

A relaxed structure of K4Re6TeC6S7N6 (PBE, the Materials Project).

a = 17.569 Å, b = 17.569 Å, c = 17.569 Å
α = 90.00°, β = 90.00°, γ = 90.00°
Space group I2_13 (No. 199)
One atom of each set of equivalent atoms:
K: 0.000 0.000 0.000 [8 per cell]
K: 0.000 0.250 0.443 [12 per cell]
K: 0.000 0.250 0.943 [12 per cell]
Re: 0.174 0.183 0.284 [24 per cell]
Re: 0.175 0.316 0.786 [24 per cell]
Te: 0.141 0.359 0.641 [8 per cell]
C: 0.092 0.108 0.329 [24 per cell]
C: 0.093 0.392 0.830 [24 per cell]
S: 0.088 0.291 0.273 [24 per cell]
S: 0.089 0.208 0.774 [24 per cell]
S: 0.152 0.152 0.152 [8 per cell]
N: 0.048 0.065 0.355 [24 per cell]
N: 0.048 0.435 0.855 [24 per cell]

## Properties
Formation energy from the elements ... -604 meV per atom
Total energy after the MP2020 corrections ... -1877.80 eV for the cell shown
Calculated volume ... 5423 Å³/cell

***

# KCSN

A relaxed structure of KCSN (PBE, the Materials Project).

a = 6.850 Å, b = 6.703 Å, c = 7.767 Å
α = 90.00°, β = 90.00°, γ = 90.00°
Space group Pbcm (No. 57)
One atom of each set of equivalent atoms:
K: 0.199 0.250 0.000 [4 per cell]
C: 0.232 0.713 0.250 [4 per cell]
S: 0.395 0.610 0.750 [4 per cell]
N: 0.112 0.584 0.250 [4 per cell]

## Properties
Formation energy from the elements ... -644 meV per atom
Total energy after the MP2020 corrections ... -101.56 eV for the cell shown
Calculated volume ... 357 Å³/cell